Crystalline K3Sm at its relaxed geometry. Source: Materials Project, functional GGA-PBE.

## Properties
* total DFT energy (no corrections): -11.625 eV per cell
* offset from the most stable computed form: 0 meV/atom
* spin magnetization: 1.147 μB per formula unit
* energy of formation: 0.56 eV/atom
* calculated density: 1.92 Mg/m³

Lattice parameters (Å, degrees): 8.6488 8.6488 7.1648 90.00 90.00 120.00
With the nearest neighbours (Å) after each atom.
Space group P6_3/mmc (No. 194)
Symmetry-distinct sites (fractional):
K: 0.1714 0.3428 0.2500 (multiplicity 6)  8 K 4.20-4.45, 4 Sm 4.32-4.33
Sm: 0.3333 0.6667 0.7500 (multiplicity 2)  12 K 4.32-4.33